# ZrTiPb2O6, optimized geometry, DFT GGA-PBE
data_ZrTiPb2O6
_chemical_formula_sum 'Zr3 Ti3 Pb6 O18'
_cell_length_a 5.7970
_cell_length_b 5.7970
_cell_length_c 14.4533
_cell_angle_alpha 90.00
_cell_angle_beta 90.00
_cell_angle_gamma 120.00
_symmetry_space_group_name_H-M 'R 3 m'
_symmetry_Int_Tables_number 160
_symmetry_space_group_name_Hall 'R 3 -2"'
loop_
_atom_site_label
_atom_site_type_symbol
_atom_site_fract_x
_atom_site_fract_y
_atom_site_fract_z
Zr1 Zr 0.0000 0.0000 0.0000
Ti1 Ti 0.0000 0.0000 0.4997
Pb1 Pb 0.0000 0.0000 0.2319
Pb2 Pb 0.0000 0.0000 0.7289
O1 O 0.0199 0.5100 0.2640
O2 O 0.1672 0.3344 0.1029
# - Energy above the most stable polymorph in this dataset: 14 meV/atom
# - Uncorrected energy: -231.4 eV for the cell shown
# - Mass density: 7.7 Mg/m³
# - Size of the total moment: 0.0 μB/cell


# ZrTiPb2O6, optimized geometry, DFT GGA-PBE
data_ZrTiPb2O6
_chemical_formula_sum 'Zr1 Ti1 Pb2 O6'
_cell_length_a 4.028
_cell_length_b 4.028
_cell_length_c 8.762
_cell_angle_alpha 90.00
_cell_angle_beta 90.00
_cell_angle_gamma 90.00
_symmetry_space_group_name_H-M 'P 4 m m'
_symmetry_Int_Tables_number 99
loop_
_symmetry_equiv_pos_as_xyz
'x,y,z'
'-y,x,z'
'-x,-y,z'
'y,-x,z'
'-x,y,z'
'y,x,z'
'x,-y,z'
'-y,-x,z'
loop_
_atom_site_label
_atom_site_type_symbol
_atom_site_fract_x
_atom_site_fract_y
_atom_site_fract_z
Zr1 Zr 0.000 0.000 0.000
Ti1 Ti 0.000 0.000 0.504
Pb1 Pb 0.500 0.500 0.242
Pb2 Pb 0.500 0.500 0.709
O1 O 0.000 0.000 0.303
O2 O 0.000 0.000 0.774
O3 O 0.000 0.500 0.062
O4 O 0.000 0.500 0.537
# - Energy above the most stable polymorph in this dataset: 17 meV/atom
# - Uncorrected energy: -77.1 eV for the cell shown
# - Mass density: 7.6 Mg/m³
# - Size of the total moment: 0.0 μB/cell


# ZrTi2Pb3O9, optimized geometry, DFT GGA-PBE
data_ZrTi2Pb3O9
_chemical_formula_sum 'Zr2 Ti4 Pb6 O18'
_cell_length_a 10.151
_cell_length_b 5.738
_cell_length_c 7.054
_cell_angle_alpha 90.00
_cell_angle_beta 90.72
_cell_angle_gamma 90.00
_symmetry_space_group_name_H-M 'C 1 m 1'
_symmetry_Int_Tables_number 8
loop_
_symmetry_equiv_pos_as_xyz
'x,y,z'
'x,-y,z'
'x+1/2,y+1/2,z'
'x+1/2,-y+1/2,z'
loop_
_atom_site_label
_atom_site_type_symbol
_atom_site_fract_x
_atom_site_fract_y
_atom_site_fract_z
Zr1 Zr 0.000 0.000 0.000
Ti1 Ti 0.171 0.500 0.665
Ti2 Ti 0.335 0.000 0.332
Pb1 Pb 0.028 0.000 0.494
Pb2 Pb 0.188 0.500 0.161
Pb3 Pb 0.357 0.000 0.808
O1 O 0.062 0.265 0.832
O2 O 0.151 0.000 0.193
O3 O 0.226 0.249 0.512
O4 O 0.308 0.500 0.845
O5 O 0.391 0.250 0.181
O6 O 0.474 0.000 0.509
# - Energy above the most stable polymorph in this dataset: 8 meV/atom
# - Uncorrected energy: -230.1 eV for the cell shown
# - Mass density: 7.7 Mg/m³
# - Size of the total moment: 0.0 μB/cell


| no. | formation enthalpy at 0 K (eV/f.u.) |
| --- | --- |
| 1 | -27.70 |
| 2 | -27.68 |
| 3 | -41.24 |